Computed, not measured: an optimized crystal structure of Tb4Al at the GGA-PBE level of DFT.

* DFT total energy: -39.5 eV/cell
* space-group type: Fd-3m (227)

Cell lengths 7.9137, 7.9137, 7.9137 Å; angles 60.00, 60.00, 60.00 degrees
With the nearest neighbours (Å) after each atom.
Positions (direct):
Tb 0.6067 0.6067 0.6067  1 Al 2.78
Tb 0.1798 0.6067 0.6067  1 Al 2.78
Tb 0.6067 0.1798 0.6067  1 Al 2.78
Tb 0.5702 0.1433 0.1433  1 Al 2.78
Tb 0.1433 0.1433 0.1433  1 Al 2.78
Tb 0.6067 0.6067 0.1798  1 Al 2.78
Tb 0.1433 0.5702 0.1433  1 Al 2.78
Tb 0.1433 0.1433 0.5702  1 Al 2.78
Al 0.0000 0.0000 0.0000  4 Tb 2.78
Al 0.7500 0.7500 0.7500  4 Tb 2.78

***

Computed, not measured: an optimized crystal structure of Zr8Sc2O19 at the GGA-PBE level of DFT.

* energy with MP2020 corrections: -9.75 eV per atom
* space-group type: Pm (6)

Cell lengths 3.5457, 36.1259, 34.4165 Å; angles 5.26, 58.76, 60.39 degrees
With the nearest neighbours (Å) after each atom.
Positions (direct):
Zr 0.0072 0.0045 0.9944  8 O 2.11-2.32
Zr 0.0004 0.1008 0.9990  8 O 2.16-2.32
Zr 0.9982 0.1980 0.0025  8 O 2.15-2.28
Zr 0.9961 0.2970 0.0038  8 O 2.18-2.27
Zr 0.9941 0.3955 0.0056  8 O 2.18-2.24
Zr 0.9928 0.4938 0.0077  8 O 2.13-2.26
Zr 0.9827 0.6867 0.0166  8 O 2.08-2.33
Zr 0.9887 0.5922 0.0098  8 O 2.14-2.30
Sc 0.0121 0.8124 0.9845  6 O 2.01-2.24
Sc 0.9798 0.8814 0.0232  4 O 2.05-2.17
O 0.2456 0.0972 0.2535  4 Zr 2.18-2.24
O 0.2336 0.1876 0.2655  4 Zr 2.21-2.22
O 0.2612 0.3097 0.2379  4 Zr 2.13-2.30
O 0.2084 0.3672 0.2910  4 Zr 2.16-2.29
O 0.2673 0.5160 0.2300  2 Zr 2.08, 2 Sc 2.24
O 0.6995 0.9615 0.7981  2 Sc 2.01
O 0.7725 0.1216 0.7231  4 Sc 2.20-2.37
O 0.2332 0.6872 0.2661  2 Sc 2.16-2.17, 2 Zr 2.17
O 0.7971 0.2371 0.7036  2 Sc 2.05
O 0.2791 0.8236 0.2205  4 Zr 2.11-2.32
O 0.7428 0.2932 0.7585  4 Zr 2.16-2.27
O 0.2330 0.8872 0.2660  4 Zr 2.19-2.24
O 0.7785 0.4224 0.7220  4 Zr 2.16-2.28
O 0.2573 0.0065 0.2419  4 Zr 2.15-2.27
O 0.7506 0.4997 0.7504  4 Zr 2.19-2.23
O 0.7590 0.6066 0.7418  4 Zr 2.20-2.23
O 0.7645 0.7108 0.7364  4 Zr 2.18-2.25
O 0.7348 0.7873 0.7659  4 Zr 2.16-2.26
O 0.7748 0.9194 0.7257  4 Zr 2.14-2.31

***

Computed, not measured: an optimized crystal structure of Tm2CuOs at the GGA-PBE level of DFT.

* DFT total energy: -25.6 eV/cell
* space-group type: Fm-3m (225)

Cell lengths 4.7876, 4.7876, 4.7876 Å; angles 60.00, 60.00, 60.00 degrees
With the nearest neighbours (Å) after each atom.
Positions (direct):
Tm 0.7500 0.7500 0.7500  4 Os 2.93, 4 Cu 2.93
Tm 0.2500 0.2500 0.2500  4 Os 2.93, 4 Cu 2.93
Cu 0.5000 0.5000 0.5000  8 Tm 2.93
Os 0.0000 0.0000 0.0000  8 Tm 2.93

***

Computed, not measured: an optimized crystal structure of LiSm4Tm4O12 at the GGA-PBE level of DFT.

* ΔE to the lowest computed polymorph: 0.000 eV/atom
* energy with MP2020 corrections: -8.31 eV per atom
* space-group type: Pm (6)

Cell lengths 6.1629, 8.3158, 5.6864 Å; angles 90.00, 91.48, 90.00 degrees
With the nearest neighbours (Å) after each atom.
Positions (direct):
Li 0.7227 0.2500 0.0514  2 O 1.77-1.97
Sm 0.1094 0.2500 0.9687  6 O 2.25-2.51, 1 Li 2.44
Sm 0.4241 0.7500 0.4560  4 O 2.32-2.41
Sm 0.5453 0.2500 0.5261  4 O 2.31-2.54
Sm 0.9685 0.7500 0.9938  4 O 2.25-2.39
Tm 0.9772 0.0048 0.4905  6 O 2.19-2.30
Tm 0.9772 0.4952 0.4905  6 O 2.19-2.30
Tm 0.4918 0.9709 0.9858  5 O 2.17-2.33
Tm 0.4918 0.5291 0.9858  5 O 2.17-2.33
O 0.0663 0.7500 0.6150  2 Sm 2.25-2.41, 2 Tm 2.30
O 0.1700 0.5501 0.1758  2 Tm 2.22-2.29, 1 Sm 2.30
O 0.1700 0.9499 0.1758  2 Tm 2.22-2.29, 1 Sm 2.30
O 0.2914 0.4247 0.6895  2 Tm 2.24-2.29, 2 Sm 2.34-2.45
O 0.2914 0.0753 0.6895  2 Tm 2.24-2.29, 2 Sm 2.34-2.45
O 0.4464 0.2500 0.1318  1 Li 1.77
O 0.6123 0.7500 0.8176  2 Tm 2.21, 2 Sm 2.33-2.39
O 0.6651 0.9416 0.3212  2 Tm 2.17-2.19, 1 Sm 2.32
O 0.6651 0.5584 0.3212  2 Tm 2.17-2.19, 1 Sm 2.32
O 0.7971 0.0826 0.8163  1 Li 1.99
O 0.7971 0.4174 0.8163  1 Li 1.99
O 0.9132 0.2500 0.3354  1 Li 1.97

***

Computed, not measured: an optimized crystal structure of Er6InCo2 at the GGA-PBE level of DFT.

* DFT total energy: -93.9 eV/cell
* space-group type: Immm (71)

Cell lengths 8.2739, 8.2739, 8.2739 Å; angles 111.71, 110.06, 106.68 degrees
With the nearest neighbours (Å) after each atom.
Positions (direct):
Er 0.1873 0.2882 0.4755  2 Co 2.88, 1 In 3.21
Er 0.8127 0.7118 0.5245  2 Co 2.88, 1 In 3.21
Er 0.1873 0.7118 0.8991  2 Co 2.88, 1 In 3.21
Er 0.8127 0.2882 0.1009  2 Co 2.88, 1 In 3.21
Er 0.3154 0.6189 0.3035  3 Co 2.71-2.84
Er 0.6846 0.3811 0.6965  3 Co 2.71-2.84
Er 0.3154 0.0119 0.6965  3 Co 2.71-2.84
Er 0.6846 0.9881 0.3035  3 Co 2.71-2.84
Er 0.4428 0.2317 0.2111  1 Co 2.77, 1 In 3.04
Er 0.5572 0.7683 0.7889  1 Co 2.77, 1 In 3.04
Er 0.0207 0.2317 0.7889  1 Co 2.77, 1 In 3.04
Er 0.9793 0.7683 0.2111  1 Co 2.77, 1 In 3.04
In 0.5000 0.5000 0.0000  12 Er 3.32-3.56
In 0.0000 0.0000 0.0000  8 Er 3.04-3.21
Co 0.1128 0.6128 0.5000  1 Co 2.23
Co 0.8872 0.3872 0.5000  1 Co 2.23
Co 0.3762 0.0000 0.3762  1 Co 2.35
Co 0.6238 0.0000 0.6238  1 Co 2.35

***

Computed, not measured: an optimized crystal structure of PrSBr at the GGA-PBE level of DFT.

* energy with MP2020 corrections: -5.87 eV per atom
* space-group type: Pbca (61)

Cell lengths 6.9631, 7.1404, 13.9203 Å; angles 90.00, 90.00, 90.00 degrees
With the nearest neighbours (Å) after each atom.
Positions (direct):
Pr 0.2597 0.9673 0.9072  4 S 2.83-2.85, 2 Br 3.05-3.09
Pr 0.7403 0.0327 0.0928  4 S 2.83-2.85, 2 Br 3.05-3.09
Pr 0.2403 0.4673 0.0928  4 S 2.83-2.85, 2 Br 3.05-3.09
Pr 0.7403 0.5327 0.4072  4 S 2.83-2.85, 2 Br 3.05-3.09
Pr 0.7597 0.5327 0.9072  4 S 2.83-2.85, 2 Br 3.05-3.09
Pr 0.2597 0.4673 0.5928  4 S 2.83-2.85, 2 Br 3.05-3.09
Pr 0.7597 0.0327 0.5928  4 S 2.83-2.85, 2 Br 3.05-3.09
Pr 0.2403 0.9673 0.4072  4 S 2.83-2.85, 2 Br 3.05-3.09
S 0.9982 0.7411 0.5245  4 Pr 2.83-2.85
S 0.0018 0.2589 0.4755  4 Pr 2.83-2.85
S 0.5018 0.2411 0.4755  4 Pr 2.83-2.85
S 0.0018 0.7589 0.0245  4 Pr 2.83-2.85
S 0.4982 0.7589 0.5245  4 Pr 2.83-2.85
S 0.9982 0.2411 0.9755  4 Pr 2.83-2.85
S 0.4982 0.2589 0.9755  4 Pr 2.83-2.85
S 0.5018 0.7411 0.0245  4 Pr 2.83-2.85
Br 0.1796 0.5993 0.7971  3 Pr 3.05-3.34
Br 0.8204 0.4007 0.2029  3 Pr 3.05-3.34
Br 0.3204 0.0993 0.2029  3 Pr 3.05-3.34
Br 0.8204 0.9007 0.2971  3 Pr 3.05-3.34
Br 0.6796 0.9007 0.7971  3 Pr 3.05-3.34
Br 0.1796 0.0993 0.7029  3 Pr 3.05-3.34
Br 0.6796 0.4007 0.7029  3 Pr 3.05-3.34
Br 0.3204 0.5993 0.2971  3 Pr 3.05-3.34

***

Computed, not measured: an optimized crystal structure of PmGe3 at the GGA-PBE level of DFT.

* DFT total energy: -40.5 eV/cell
* space-group type: P6_3/mmc (194)

Cell lengths 6.2030, 6.2030, 5.1249 Å; angles 90.00, 90.00, 120.00 degrees
With the nearest neighbours (Å) after each atom.
Positions (direct):
Pm 0.3333 0.6667 0.7500  12 Ge 3.11-3.25
Pm 0.6667 0.3333 0.2500  12 Ge 3.11-3.25
Ge 0.1466 0.2931 0.2500  6 Ge 2.73-3.01
Ge 0.7069 0.8534 0.2500  6 Ge 2.73-3.01
Ge 0.1466 0.8534 0.2500  6 Ge 2.73-3.01
Ge 0.8534 0.7069 0.7500  6 Ge 2.73-3.01
Ge 0.2931 0.1466 0.7500  6 Ge 2.73-3.01
Ge 0.8534 0.1466 0.7500  6 Ge 2.73-3.01

***

Computed, not measured: an optimized crystal structure of Rb2Cd3H6S3O16 at the GGA-PBE level of DFT.

* energy with MP2020 corrections: -5.63 eV per atom
* space-group type: Cmc2_1 (36)

Cell lengths 10.3434, 10.3434, 10.3767 Å; angles 90.00, 90.00, 132.58 degrees
With the nearest neighbours (Å) after each atom.
Positions (direct):
Rb 0.7687 0.1436 0.2195  9 O 3.03-3.28, 1 H 3.38
Rb 0.2313 0.8564 0.7195  9 O 3.03-3.28, 1 H 3.38
Rb 0.8564 0.2313 0.7195  9 O 3.03-3.28, 1 H 3.38
Rb 0.1436 0.7687 0.2195  9 O 3.03-3.28, 1 H 3.38
Cd 0.5577 0.3722 0.1622  6 O 2.30-2.43, 1 H 2.51
Cd 0.4423 0.6278 0.6622  6 O 2.30-2.43, 1 H 2.51
Cd 0.6278 0.4423 0.6622  6 O 2.30-2.43, 1 H 2.51
Cd 0.3722 0.5577 0.1622  6 O 2.30-2.43, 1 H 2.51
Cd 0.1825 0.1825 0.4513  6 O 2.31-2.47, 1 H 2.38
Cd 0.8175 0.8175 0.9513  6 O 2.31-2.47, 1 H 2.38
H 0.5479 0.5479 0.4676  1 O 0.98
H 0.4521 0.4521 0.9676  1 O 0.98
H 0.4273 0.4273 0.3328  1 O 0.98
H 0.5727 0.5727 0.8328  1 O 0.98
H 0.4318 0.0793 0.0005  1 O 1.01
H 0.5682 0.9207 0.5005  1 O 1.01
H 0.9207 0.5682 0.5005  1 O 1.01
H 0.0793 0.4318 0.0005  1 O 1.01
H 0.2909 0.0962 0.9971  1 O 0.98
H 0.7091 0.9038 0.4971  1 O 0.98
H 0.9038 0.7091 0.4971  1 O 0.98
H 0.0962 0.2909 0.9971  1 O 0.98
S 0.8792 0.5220 0.9418  4 O 1.48-1.50
S 0.1208 0.4780 0.4418  4 O 1.48-1.50
S 0.4780 0.1208 0.4418  4 O 1.48-1.50
S 0.5220 0.8792 0.9418  4 O 1.48-1.50
S 0.1951 0.1951 0.7838  4 O 1.49-1.51
S 0.8049 0.8049 0.2838  4 O 1.49-1.51
O 0.8005 0.4385 0.0712  1 S 1.50
O 0.1995 0.5615 0.5712  1 S 1.50
O 0.5615 0.1995 0.5712  1 S 1.50
O 0.4385 0.8005 0.0712  1 S 1.50
O 0.9543 0.7072 0.9439  1 S 1.50
O 0.0457 0.2928 0.4439  1 S 1.50
O 0.2928 0.0457 0.4439  1 S 1.50
O 0.7072 0.9543 0.9439  1 S 1.50
O 0.7446 0.4174 0.8391  1 S 1.48
O 0.2554 0.5826 0.3391  1 S 1.48
O 0.5826 0.2554 0.3391  1 S 1.48
O 0.4174 0.7446 0.8391  1 S 1.48
O 0.0255 0.5291 0.9171  1 S 1.49
O 0.9745 0.4709 0.4171  1 S 1.49
O 0.4709 0.9745 0.4171  1 S 1.49
O 0.5291 0.0255 0.9171  1 S 1.49
O 0.0917 0.0917 0.6667  1 S 1.49
O 0.9083 0.9083 0.1667  1 S 1.49
O 0.0920 0.0920 0.9032  1 S 1.51
O 0.9080 0.9080 0.4032  1 S 1.51
O 0.3624 0.2329 0.7887  1 S 1.49
O 0.6376 0.7671 0.2887  1 S 1.49
O 0.7671 0.6376 0.2887  1 S 1.49
O 0.2329 0.3624 0.7887  1 S 1.49
O 0.4617 0.4617 0.5316  1 H 0.98
O 0.5383 0.5383 0.0316  1 H 0.98
O 0.3411 0.3411 0.2689  1 H 0.98
O 0.6589 0.6589 0.7689  1 H 0.98
O 0.3665 0.0987 0.0559  2 H 0.98-1.01
O 0.6335 0.9013 0.5559  2 H 0.98-1.01
O 0.9013 0.6335 0.5559  2 H 0.98-1.01
O 0.0987 0.3665 0.0559  2 H 0.98-1.01